Entry from the Materials Project database: a relaxed structure of CsTaP2O8 (GGA-PBE).

Values from the calculation:
energy relative to the elements	-2956	meV/atom
energy	-93.14	eV per formula unit
M_tot	0.0000	μB per atom

```
CsTaP2O8
1.0
2.645 4.423 0.000
-2.645 4.423 0.000
0.000 0.516 9.002
Cs Ta P O
1 1 2 8
Direct
0.000 0.000 0.500
0.000 0.000 0.000
0.645 0.645 0.192
0.355 0.355 0.808
0.791 0.791 0.085
0.685 0.212 0.854
0.324 0.324 0.648
0.788 0.315 0.146
0.315 0.788 0.146
0.209 0.209 0.915
0.676 0.676 0.352
0.212 0.685 0.854
```